1.
Density functional theory data (r2SCAN) for a geometry-optimized ZnS structure.

Cell and atoms, written as POSCAR:
```
ZnS
1.0
-1.9490 3.2656 0.2095
-1.7079 -3.1590 -1.2690
-24.1566 -19.6407 81.4023
Zn S
28 28
Direct
0.6667 0.3333 0.0715
0.0000 0.0000 0.3215
0.0000 0.0000 0.2143
0.3333 0.6667 0.1429
0.3333 0.6667 0.3572
0.6667 0.3333 0.3929
0.3333 0.6667 0.4643
0.0000 0.0000 0.6428
0.6667 0.3333 0.7858
0.3333 0.6667 0.5714
0.0000 0.0000 0.5357
0.3333 0.6667 0.8928
0.3333 0.6667 0.8215
0.3333 0.6667 0.9642
0.6667 0.3333 0.2857
0.6667 0.3333 0.6071
0.3333 0.6667 0.6785
0.6667 0.3333 0.7142
0.0000 0.0000 0.1072
0.6667 0.3333 0.9285
0.3333 0.6667 0.0358
0.6667 0.3333 0.1786
0.0000 0.0000 0.0000
0.6667 0.3333 0.5000
0.0000 0.0000 0.8572
0.0000 0.0000 0.4286
0.3333 0.6667 0.2500
0.0000 0.0000 0.7500
0.6667 0.3333 0.2054
0.3333 0.6667 0.8482
0.0000 0.0000 0.7769
0.3333 0.6667 0.9910
0.3333 0.6667 0.7053
0.0000 0.0000 0.4553
0.6667 0.3333 0.6339
0.0000 0.0000 0.0268
0.0000 0.0000 0.3482
0.0000 0.0000 0.8840
0.6667 0.3333 0.4196
0.6667 0.3333 0.0983
0.0000 0.0000 0.1339
0.6667 0.3333 0.3125
0.6667 0.3333 0.5268
0.3333 0.6667 0.1696
0.0000 0.0000 0.6696
0.3333 0.6667 0.5981
0.0000 0.0000 0.2410
0.6667 0.3333 0.7410
0.6667 0.3333 0.8126
0.3333 0.6667 0.9196
0.6667 0.3333 0.9553
0.3333 0.6667 0.3839
0.3333 0.6667 0.2768
0.3333 0.6667 0.0626
0.3333 0.6667 0.4911
0.0000 0.0000 0.5625
```

Computed properties:
**Energy**: -528.3 eV per cell

2.
Density functional theory data (r2SCAN) for a geometry-optimized ZnS structure.

Cell and atoms, written as POSCAR:
```
ZnS
1.0
3.8070 0.0000 0.0000
-1.9035 3.2970 0.0000
0.0000 0.0000 74.7629
Zn S
24 24
Direct
0.0000 0.0000 0.9167
0.6667 0.3333 0.8334
0.6667 0.3333 0.3334
0.0000 0.0000 0.2917
0.0000 0.0000 0.5417
0.6667 0.3333 0.0833
0.3333 0.6667 0.4584
0.0000 0.0000 0.7917
0.6667 0.3333 0.5834
0.3333 0.6667 0.2501
0.6667 0.3333 0.2084
0.6667 0.3333 0.7500
0.0000 0.0000 0.6667
0.3333 0.6667 0.0417
0.0000 0.0000 0.1250
0.3333 0.6667 0.1667
0.6667 0.3333 0.9583
0.3333 0.6667 0.3750
0.0000 0.0000 0.4167
0.3333 0.6667 0.6250
0.3333 0.6667 0.7084
0.0000 0.0000 0.0000
0.6667 0.3333 0.5000
0.3333 0.6667 0.8750
0.3333 0.6667 0.6562
0.3333 0.6667 0.1979
0.6667 0.3333 0.5312
0.6667 0.3333 0.7812
0.3333 0.6667 0.9062
0.3333 0.6667 0.4062
0.0000 0.0000 0.6979
0.6667 0.3333 0.8646
0.6667 0.3333 0.2396
0.3333 0.6667 0.7396
0.6667 0.3333 0.1146
0.3333 0.6667 0.2812
0.6667 0.3333 0.6146
0.6667 0.3333 0.9896
0.6667 0.3333 0.3646
0.0000 0.0000 0.3229
0.3333 0.6667 0.0729
0.3333 0.6667 0.4896
0.0000 0.0000 0.1562
0.0000 0.0000 0.8229
0.0000 0.0000 0.5729
0.0000 0.0000 0.4479
0.0000 0.0000 0.9479
0.0000 0.0000 0.0312
```

Computed properties:
**Energy**: -452.9 eV per cell

3.
Density functional theory data (r2SCAN) for a geometry-optimized ZrS structure.

Cell and atoms, written as POSCAR:
```
ZrS
1.0
3.5877 0.0000 0.0000
0.0000 3.5877 0.0000
0.0000 0.0000 5.5991
Zr S
2 2
Direct
0.7500 0.7500 0.8169
0.2500 0.2500 0.1831
0.7500 0.7500 0.3019
0.2500 0.2500 0.6981
```

Computed properties:
**Energy**: -68.2 eV per cell

- Which value of energy does entry 1 give?
  -528.3 eV per cell

- energy of number 3 (ZrS)?
  -68.2 eV per cell

Copy entry 3 word for word.
Density functional theory data (r2SCAN) for a geometry-optimized ZrS structure.

Cell and atoms, written as POSCAR:
```
ZrS
1.0
3.5877 0.0000 0.0000
0.0000 3.5877 0.0000
0.0000 0.0000 5.5991
Zr S
2 2
Direct
0.7500 0.7500 0.8169
0.2500 0.2500 0.1831
0.7500 0.7500 0.3019
0.2500 0.2500 0.6981
```

Computed properties:
**Energy**: -68.2 eV per cell